Entry a
Below is a relaxed structure of YMg6Zr, with properties calculated at the PBE-GGA level.

a = 5.184 Å, b = 6.552 Å, c = 11.387 Å
α = 90.00°, β = 90.00°, γ = 90.00°
Fractional coordinates of all 16 atoms:
Y 0.000 0.500 0.332
Y 0.000 0.000 0.832
Mg 0.000 0.257 0.085
Mg 0.000 0.743 0.085
Mg 0.000 0.000 0.335
Mg 0.500 0.752 0.417
Mg 0.500 0.248 0.417
Mg 0.500 0.000 0.165
Mg 0.000 0.757 0.585
Mg 0.000 0.243 0.585
Mg 0.000 0.500 0.835
Mg 0.500 0.252 0.917
Mg 0.500 0.748 0.917
Mg 0.500 0.500 0.665
Zr 0.500 0.500 0.164
Zr 0.500 0.000 0.664


Entry b
Below is a relaxed structure of YMg6Zr, with properties calculated at the PBE-GGA level.

* space group: Cmmm (65)

a = 8.475 Å, b = 9.518 Å, c = 4.707 Å
α = 90.00°, β = 90.00°, γ = 90.00°
Fractional coordinates of all 16 atoms:
Y 0.000 0.000 0.000
Y 0.500 0.500 0.000
Mg 0.000 0.257 0.500
Mg 0.000 0.743 0.500
Mg 0.241 0.500 0.500
Mg 0.250 0.250 0.000
Mg 0.250 0.750 0.000
Mg 0.259 0.000 0.500
Mg 0.500 0.243 0.500
Mg 0.500 0.757 0.500
Mg 0.741 0.000 0.500
Mg 0.750 0.250 0.000
Mg 0.750 0.750 0.000
Mg 0.759 0.500 0.500
Zr 0.000 0.500 0.000
Zr 0.500 0.000 0.000


entry b has the most favorable energy; the next structure is 72 meV/atom above.